A plane-wave DFT calculation with r²SCAN was carried out for an optimized crystal structure of Ba13Si6Sn8As22.

Output
DFT total energy in eV/atom: -19.555
Total magnetization in μB per formula unit: 0.00
SG: I-42m, No. 121

Cell lengths 12.4287, 12.4287, 12.4287 Å; angles 108.16, 108.16, 112.12 degrees
Closest atoms and distances in Å follow each position.
Element x y z (fractional)
1 Ba 0.0000 0.0000 0.0000  4 As 3.53
2 Ba 0.0493 0.2907 0.5067  6 As 3.26-3.58, 1 Si 3.53, 1 Sn 3.62
3 Ba 0.1600 0.4946 0.0000  6 As 3.43-3.67
4 Ba 0.2161 0.7093 0.7586  6 As 3.26-3.58, 1 Si 3.53, 1 Sn 3.62
5 Ba 0.2907 0.0493 0.5067  6 As 3.26-3.58, 1 Si 3.53, 1 Sn 3.62
6 Ba 0.4575 0.9507 0.2414  6 As 3.26-3.58, 1 Si 3.53, 1 Sn 3.62
7 Ba 0.4946 0.1600 0.0000  6 As 3.43-3.67
8 Ba 0.5054 0.5054 0.6654  6 As 3.43-3.67
9 Ba 0.5425 0.7839 0.4933  6 As 3.26-3.58, 1 Si 3.53, 1 Sn 3.62
10 Ba 0.7093 0.2161 0.7586  6 As 3.26-3.58, 1 Si 3.53, 1 Sn 3.62
11 Ba 0.7839 0.5425 0.4933  6 As 3.26-3.58, 1 Si 3.53, 1 Sn 3.62
12 Ba 0.8400 0.8400 0.3346  6 As 3.43-3.67
13 Ba 0.9507 0.4575 0.2414  6 As 3.26-3.58, 1 Si 3.53, 1 Sn 3.62
14 Si 0.2500 0.7500 0.5000  4 As 2.38
15 Si 0.3176 0.3176 0.8310  4 As 2.35-2.37
16 Si 0.4866 0.4866 0.1690  4 As 2.35-2.37
17 Si 0.5134 0.6824 0.0000  4 As 2.35-2.37
18 Si 0.6824 0.5134 0.0000  4 As 2.35-2.37
19 Si 0.7500 0.2500 0.5000  4 As 2.38
20 Sn 0.0592 0.7805 0.1776  3 As 2.72-2.74
21 Sn 0.1184 0.9408 0.7213  3 As 2.72-2.74
22 Sn 0.2195 0.3971 0.2787  3 As 2.72-2.74
23 Sn 0.3971 0.2195 0.2787  3 As 2.72-2.74
24 Sn 0.6029 0.8816 0.8224  3 As 2.72-2.74
25 Sn 0.7805 0.0592 0.1776  3 As 2.72-2.74
26 Sn 0.8816 0.6029 0.8224  3 As 2.72-2.74
27 Sn 0.9408 0.1184 0.7213  3 As 2.72-2.74
28 As 0.0556 0.7483 0.4915  1 Si 2.38
29 As 0.1255 0.1255 0.6437  1 Si 2.37
30 As 0.1388 0.7986 0.0000  2 Sn 2.72
31 As 0.2014 0.2014 0.3402  2 Sn 2.72
32 As 0.2517 0.7432 0.3073  1 Si 2.38
33 As 0.2568 0.5641 0.5085  1 Si 2.38
34 As 0.2888 0.2888 0.0000  2 Si 2.35
35 As 0.3136 0.5000 0.8136  2 Si 2.36
36 As 0.4359 0.9444 0.6927  1 Si 2.38
37 As 0.4817 0.4817 0.3563  1 Si 2.37
38 As 0.5000 0.3136 0.8136  2 Si 2.36
39 As 0.5000 0.6864 0.1864  2 Si 2.36
40 As 0.5183 0.8745 0.0000  1 Si 2.37
41 As 0.5641 0.2568 0.5085  1 Si 2.38
42 As 0.6864 0.5000 0.1864  2 Si 2.36
43 As 0.7112 0.7112 0.0000  2 Si 2.35
44 As 0.7432 0.2517 0.3073  1 Si 2.38
45 As 0.7483 0.0556 0.4915  1 Si 2.38
46 As 0.7986 0.1388 0.0000  2 Sn 2.72
47 As 0.8612 0.8612 0.6598  2 Sn 2.72
48 As 0.8745 0.5183 0.0000  1 Si 2.37
49 As 0.9444 0.4359 0.6927  1 Si 2.38

***

A plane-wave DFT calculation with r²SCAN was carried out for an optimized crystal structure of CsBeAsO4.

Output
DFT total energy in eV/atom: -11.824
Total magnetization in μB per formula unit: 0.00
SG: Pna2_1, No. 33

Cell lengths 9.4369, 8.8496, 5.1726 Å; angles 90.00, 90.00, 90.00 degrees
Closest atoms and distances in Å follow each position.
Element x y z (fractional)
1 Cs 0.0059 0.1818 0.0000  7 O 3.03-3.33
2 Cs 0.4941 0.6818 0.5000  7 O 3.03-3.33
3 Cs 0.5059 0.3182 0.0000  7 O 3.03-3.33
4 Cs 0.9941 0.8182 0.5000  7 O 3.03-3.33
5 Be 0.1701 0.4049 0.5014  4 O 1.63-1.64
6 Be 0.3299 0.9049 0.0014  4 O 1.63-1.64
7 Be 0.6701 0.0951 0.5014  4 O 1.63-1.64
8 Be 0.8299 0.5951 0.0014  4 O 1.63-1.64
9 As 0.1743 0.5859 0.0026  4 O 1.68-1.70
10 As 0.3257 0.0859 0.5026  4 O 1.68-1.70
11 As 0.6743 0.9141 0.0026  4 O 1.68-1.70
12 As 0.8257 0.4141 0.5026  4 O 1.68-1.70
13 O 0.0002 0.3762 0.5177  1 Be 1.63, 1 As 1.68
14 O 0.9998 0.6238 0.0177  1 Be 1.63, 1 As 1.68
15 O 0.2223 0.4452 0.2077  1 Be 1.64, 1 As 1.70
16 O 0.2237 0.5387 0.6983  1 Be 1.64, 1 As 1.69
17 O 0.2410 0.2447 0.5942  1 Be 1.64, 1 As 1.68
18 O 0.2590 0.7447 0.0942  1 Be 1.64, 1 As 1.68
19 O 0.2763 0.0387 0.1983  1 Be 1.64, 1 As 1.69
20 O 0.2777 0.9452 0.7077  1 Be 1.64, 1 As 1.70
21 O 0.5002 0.1238 0.5177  1 Be 1.63, 1 As 1.68
22 O 0.4998 0.8762 0.0177  1 Be 1.63, 1 As 1.68
23 O 0.7223 0.0548 0.2077  1 Be 1.64, 1 As 1.70
24 O 0.7237 0.9613 0.6983  1 Be 1.64, 1 As 1.69
25 O 0.7410 0.2553 0.5942  1 Be 1.64, 1 As 1.68
26 O 0.7590 0.7553 0.0942  1 Be 1.64, 1 As 1.68
27 O 0.7763 0.4613 0.1983  1 Be 1.64, 1 As 1.69
28 O 0.7777 0.5548 0.7077  1 Be 1.64, 1 As 1.70

***

A plane-wave DFT calculation with r²SCAN was carried out for an optimized crystal structure of NiBiAsO5.

Output
DFT total energy in eV/atom: -15.766
Total magnetization in μB per formula unit: 2.00

Cell lengths 5.2307, 7.5912, 11.1930 Å; angles 93.72, 96.89, 70.36 degrees
Closest atoms and distances in Å follow each position.
Element x y z (fractional)
1 Ni 0.2193 0.9481 0.3125  6 O 2.03-2.13
2 O 0.9745 0.9410 0.8580  1 As 1.72
3 Bi 0.6927 0.9006 0.1337  4 O 2.13-2.32
4 O 0.5446 0.1872 0.5383  1 As 1.71
5 O 0.4697 0.6667 0.9039  1 As 1.69
6 O 0.0023 0.2268 0.7249  2 Ni 2.03-2.11, 2 Bi 2.13-2.25
7 Ni 0.7196 0.4483 0.8126  6 O 2.03-2.13
8 O 0.9555 0.3128 0.9618  1 As 1.71
9 O 0.4553 0.8128 0.4617  1 As 1.71
10 O 0.5256 0.5591 0.6421  1 As 1.72
11 As 0.3697 0.7885 0.6005  4 O 1.69-1.72
12 O 0.9693 0.1666 0.4036  1 As 1.69
13 O 0.4741 0.4411 0.3580  1 As 1.72
14 Ni 0.7806 0.0519 0.6874  6 O 2.03-2.13
15 Bi 0.8071 0.5993 0.3663  4 O 2.13-2.32
16 O 0.0446 0.6871 0.0383  1 As 1.71
17 As 0.1303 0.7116 0.8995  4 O 1.69-1.72
18 Ni 0.2805 0.5517 0.1874  6 O 2.03-2.13
19 O 0.9976 0.7732 0.2752  2 Ni 2.03-2.11, 2 Bi 2.13-2.25
20 As 0.6299 0.2117 0.3994  4 O 1.69-1.72
21 As 0.8700 0.2882 0.1006  4 O 1.69-1.72
22 Bi 0.3072 0.0994 0.8663  4 O 2.13-2.32
23 Bi 0.1930 0.4008 0.6337  4 O 2.13-2.32
24 O 0.0064 0.5744 0.7992  1 As 1.70
25 O 0.5022 0.7266 0.2248  2 Ni 2.03-2.11, 2 Bi 2.13-2.25
26 O 0.0303 0.8335 0.5962  1 As 1.69
27 O 0.4938 0.9258 0.7008  1 As 1.70
28 O 0.5059 0.0743 0.2991  1 As 1.70
29 O 0.9940 0.4255 0.2009  1 As 1.70
30 O 0.4979 0.2734 0.7752  2 Ni 2.03-2.11, 2 Bi 2.13-2.25
31 O 0.5306 0.3332 0.0963  1 As 1.69
32 O 0.0258 0.0588 0.1419  1 As 1.72

***

A plane-wave DFT calculation with r²SCAN was carried out for an optimized crystal structure of Bi12AsO20.

Output
DFT total energy in eV/atom: -26.663
Total magnetization in μB per formula unit: 0.00
SG: I23, No. 197

Cell lengths 8.8621, 8.8621, 8.8621 Å; angles 109.47, 109.47, 109.47 degrees
Closest atoms and distances in Å follow each position.
Element x y z (fractional)
1 Bi 0.1488 0.3025 0.8019  3 O 2.13-2.23
2 Bi 0.1537 0.8512 0.6531  3 O 2.13-2.23
3 Bi 0.1981 0.5006 0.3469  3 O 2.13-2.23
4 Bi 0.3025 0.8019 0.1488  3 O 2.13-2.23
5 Bi 0.3469 0.1981 0.5006  3 O 2.13-2.23
6 Bi 0.4994 0.6975 0.8463  3 O 2.13-2.23
7 Bi 0.5006 0.3469 0.1981  3 O 2.13-2.23
8 Bi 0.6531 0.1537 0.8512  3 O 2.13-2.23
9 Bi 0.6975 0.8463 0.4994  3 O 2.13-2.23
10 Bi 0.8019 0.1488 0.3025  3 O 2.13-2.23
11 Bi 0.8463 0.4994 0.6975  3 O 2.13-2.23
12 Bi 0.8512 0.6531 0.1537  3 O 2.13-2.23
13 As 0.0000 0.0000 0.0000  4 O 1.71
14 O 0.0000 0.0000 0.1929  1 As 1.71
15 O 0.0000 0.0000 0.6025  3 Bi 2.23
16 O 0.0000 0.1929 0.0000  1 As 1.71
17 O 0.0000 0.6025 0.0000  3 Bi 2.23
18 O 0.1180 0.7583 0.3749  2 Bi 2.13-2.19
19 O 0.1929 0.0000 0.0000  1 As 1.71
20 O 0.2417 0.3597 0.6167  2 Bi 2.13-2.19
21 O 0.2570 0.6403 0.8820  2 Bi 2.13-2.19
22 O 0.3597 0.6167 0.2417  2 Bi 2.13-2.19
23 O 0.3749 0.1180 0.7583  2 Bi 2.13-2.19
24 O 0.3833 0.7430 0.6251  2 Bi 2.13-2.19
25 O 0.3975 0.3975 0.3975  3 Bi 2.23
26 O 0.6025 0.0000 0.0000  3 Bi 2.23
27 O 0.6167 0.2417 0.3597  2 Bi 2.13-2.19
28 O 0.6251 0.3833 0.7430  2 Bi 2.13-2.19
29 O 0.6403 0.8820 0.2570  2 Bi 2.13-2.19
30 O 0.7430 0.6251 0.3833  2 Bi 2.13-2.19
31 O 0.7583 0.3749 0.1180  2 Bi 2.13-2.19
32 O 0.8071 0.8071 0.8071  1 As 1.71
33 O 0.8820 0.2570 0.6403  2 Bi 2.13-2.19

***

A plane-wave DFT calculation with r²SCAN was carried out for an optimized crystal structure of Cd4As2Br3.

Output
DFT total energy in eV/atom: -17.255
Total magnetization in μB per formula unit: 0.00
SG: Pa-3, No. 205

Cell lengths 12.7553, 12.7553, 12.7553 Å; angles 90.00, 90.00, 90.00 degrees
Closest atoms and distances in Å follow each position.
Element x y z (fractional)
1 Cd 0.0125 0.2493 0.5285  2 As 2.56-2.58, 1 Br 2.83
2 Cd 0.0125 0.2507 0.0285  2 As 2.56-2.58, 1 Br 2.83
3 Cd 0.0285 0.0125 0.2507  2 As 2.56-2.58, 1 Br 2.83
4 Cd 0.0285 0.4875 0.7507  2 As 2.56-2.58, 1 Br 2.83
5 Cd 0.2205 0.7205 0.7795  1 As 2.58, 3 Br 2.78
6 Cd 0.2205 0.7795 0.2795  1 As 2.58, 3 Br 2.78
7 Cd 0.2493 0.5285 0.0125  2 As 2.56-2.58, 1 Br 2.83
8 Cd 0.2493 0.9715 0.5125  2 As 2.56-2.58, 1 Br 2.83
9 Cd 0.2507 0.0285 0.0125  2 As 2.56-2.58, 1 Br 2.83
10 Cd 0.2507 0.4715 0.5125  2 As 2.56-2.58, 1 Br 2.83
11 Cd 0.2795 0.2205 0.7795  1 As 2.58, 3 Br 2.78
12 Cd 0.2795 0.2795 0.2795  1 As 2.58, 3 Br 2.78
13 Cd 0.4715 0.5125 0.2507  2 As 2.56-2.58, 1 Br 2.83
14 Cd 0.4715 0.9875 0.7507  2 As 2.56-2.58, 1 Br 2.83
15 Cd 0.4875 0.7493 0.5285  2 As 2.56-2.58, 1 Br 2.83
16 Cd 0.4875 0.7507 0.0285  2 As 2.56-2.58, 1 Br 2.83
17 Cd 0.5125 0.2493 0.9715  2 As 2.56-2.58, 1 Br 2.83
18 Cd 0.5125 0.2507 0.4715  2 As 2.56-2.58, 1 Br 2.83
19 Cd 0.5285 0.0125 0.2493  2 As 2.56-2.58, 1 Br 2.83
20 Cd 0.5285 0.4875 0.7493  2 As 2.56-2.58, 1 Br 2.83
21 Cd 0.7205 0.7205 0.7205  1 As 2.58, 3 Br 2.78
22 Cd 0.7205 0.7795 0.2205  1 As 2.58, 3 Br 2.78
23 Cd 0.7493 0.5285 0.4875  2 As 2.56-2.58, 1 Br 2.83
24 Cd 0.7493 0.9715 0.9875  2 As 2.56-2.58, 1 Br 2.83
25 Cd 0.7507 0.0285 0.4875  2 As 2.56-2.58, 1 Br 2.83
26 Cd 0.7507 0.4715 0.9875  2 As 2.56-2.58, 1 Br 2.83
27 Cd 0.7795 0.2205 0.7205  1 As 2.58, 3 Br 2.78
28 Cd 0.7795 0.2795 0.2205  1 As 2.58, 3 Br 2.78
29 Cd 0.9715 0.5125 0.2493  2 As 2.56-2.58, 1 Br 2.83
30 Cd 0.9715 0.9875 0.7493  2 As 2.56-2.58, 1 Br 2.83
31 Cd 0.9875 0.7493 0.9715  2 As 2.56-2.58, 1 Br 2.83
32 Cd 0.9875 0.7507 0.4715  2 As 2.56-2.58, 1 Br 2.83
33 As 0.0543 0.0543 0.0543  1 As 2.40, 3 Cd 2.58
34 As 0.0543 0.4457 0.5543  1 As 2.40, 3 Cd 2.58
35 As 0.1039 0.6039 0.8961  4 Cd 2.56-2.58
36 As 0.1039 0.8961 0.3961  4 Cd 2.56-2.58
37 As 0.3961 0.1039 0.8961  4 Cd 2.56-2.58
38 As 0.3961 0.3961 0.3961  4 Cd 2.56-2.58
39 As 0.4457 0.5543 0.0543  1 As 2.40, 3 Cd 2.58
40 As 0.4457 0.9457 0.5543  1 As 2.40, 3 Cd 2.58
41 As 0.5543 0.0543 0.4457  1 As 2.40, 3 Cd 2.58
42 As 0.5543 0.4457 0.9457  1 As 2.40, 3 Cd 2.58
43 As 0.6039 0.6039 0.6039  4 Cd 2.56-2.58
44 As 0.6039 0.8961 0.1039  4 Cd 2.56-2.58
45 As 0.8961 0.1039 0.6039  4 Cd 2.56-2.58
46 As 0.8961 0.3961 0.1039  4 Cd 2.56-2.58
47 As 0.9457 0.5543 0.4457  1 As 2.40, 3 Cd 2.58
48 As 0.9457 0.9457 0.9457  1 As 2.40, 3 Cd 2.58
49 Br 0.0693 0.2346 0.3145  3 Cd 2.78-2.99
50 Br 0.0693 0.2654 0.8145  3 Cd 2.78-2.99
51 Br 0.1855 0.5693 0.2346  3 Cd 2.78-2.99
52 Br 0.1855 0.9307 0.7346  3 Cd 2.78-2.99
53 Br 0.2346 0.1855 0.5693  3 Cd 2.78-2.99
54 Br 0.2346 0.3145 0.0693  3 Cd 2.78-2.99
55 Br 0.2654 0.6855 0.5693  3 Cd 2.78-2.99
56 Br 0.2654 0.8145 0.0693  3 Cd 2.78-2.99
57 Br 0.3145 0.0693 0.2346  3 Cd 2.78-2.99
58 Br 0.3145 0.4307 0.7346  3 Cd 2.78-2.99
59 Br 0.4307 0.7346 0.3145  3 Cd 2.78-2.99
60 Br 0.4307 0.7654 0.8145  3 Cd 2.78-2.99
61 Br 0.5693 0.2346 0.1855  3 Cd 2.78-2.99
62 Br 0.5693 0.2654 0.6855  3 Cd 2.78-2.99
63 Br 0.6855 0.5693 0.2654  3 Cd 2.78-2.99
64 Br 0.6855 0.9307 0.7654  3 Cd 2.78-2.99
65 Br 0.7346 0.1855 0.9307  3 Cd 2.78-2.99
66 Br 0.7346 0.3145 0.4307  3 Cd 2.78-2.99
67 Br 0.7654 0.6855 0.9307  3 Cd 2.78-2.99
68 Br 0.7654 0.8145 0.4307  3 Cd 2.78-2.99
69 Br 0.8145 0.0693 0.2654  3 Cd 2.78-2.99
70 Br 0.8145 0.4307 0.7654  3 Cd 2.78-2.99
71 Br 0.9307 0.7346 0.1855  3 Cd 2.78-2.99
72 Br 0.9307 0.7654 0.6855  3 Cd 2.78-2.99

***

A plane-wave DFT calculation with r²SCAN was carried out for an optimized crystal structure of Cs3AsBr6.

Output
DFT total energy in eV/atom: -18.348
Total magnetization in μB per formula unit: 0.00
SG: Fm-3m, No. 225

Cell lengths 8.4902, 8.4902, 8.4902 Å; angles 60.00, 60.00, 60.00 degrees
Closest atoms and distances in Å follow each position.
Element x y z (fractional)
1 Cs 0.0000 0.0000 0.0000  6 Br 3.36
2 Cs 0.2500 0.2500 0.2500  12 Br 4.26
3 Cs 0.7500 0.7500 0.7500  12 Br 4.26
4 As 0.5000 0.5000 0.5000  6 Br 2.64
5 Br 0.2798 0.2798 0.7202  1 As 2.64
6 Br 0.2798 0.7202 0.2798  1 As 2.64
7 Br 0.2798 0.7202 0.7202  1 As 2.64
8 Br 0.7202 0.2798 0.2798  1 As 2.64
9 Br 0.7202 0.2798 0.7202  1 As 2.64
10 Br 0.7202 0.7202 0.2798  1 As 2.64

***

A plane-wave DFT calculation with r²SCAN was carried out for an optimized crystal structure of TeAsBr3F6.

Output
DFT total energy in eV/atom: -10.596
Total magnetization in μB per formula unit: 0.00
SG: P2_1/c, No. 14

Cell lengths 7.8406, 10.1350, 12.3746 Å; angles 90.00, 100.56, 90.00 degrees
Closest atoms and distances in Å follow each position.
Element x y z (fractional)
1 Te 0.1785 0.1670 0.1879  3 Br 2.45-2.46, 2 F 2.70-2.74
2 Te 0.1785 0.3330 0.6879  3 Br 2.45-2.46, 2 F 2.70-2.74
3 Te 0.8215 0.6670 0.3121  3 Br 2.45-2.46, 2 F 2.70-2.74
4 Te 0.8215 0.8330 0.8121  3 Br 2.45-2.46, 2 F 2.70-2.74
5 As 0.1689 0.7335 0.5812  6 F 1.73-1.77
6 As 0.1689 0.7665 0.0812  6 F 1.73-1.77
7 As 0.8311 0.2335 0.9188  6 F 1.73-1.77
8 As 0.8311 0.2665 0.4188  6 F 1.73-1.77
9 Br 0.2307 0.1037 0.7490  1 Te 2.45
10 Br 0.2307 0.3963 0.2490  1 Te 2.45
11 Br 0.3036 0.0494 0.3571  1 Te 2.45
12 Br 0.3036 0.4506 0.8571  1 Te 2.45
13 Br 0.4290 0.1488 0.0945  1 Te 2.46
14 Br 0.4290 0.3512 0.5945  1 Te 2.46
15 Br 0.5710 0.6488 0.4055  1 Te 2.46
16 Br 0.5710 0.8512 0.9055  1 Te 2.46
17 Br 0.6964 0.5494 0.1429  1 Te 2.45
18 Br 0.6964 0.9506 0.6429  1 Te 2.45
19 Br 0.7693 0.6037 0.7510  1 Te 2.45
20 Br 0.7693 0.8963 0.2510  1 Te 2.45
21 F 0.0424 0.2263 0.4876  1 As 1.77
22 F 0.0424 0.2737 0.9876  1 As 1.77
23 F 0.0890 0.5761 0.6086  1 As 1.77
24 F 0.0890 0.9239 0.1086  1 As 1.77
25 F 0.1123 0.7082 0.2036  1 As 1.76
26 F 0.1123 0.7918 0.7036  1 As 1.76
27 F 0.2119 0.6717 0.4574  1 As 1.74
28 F 0.2119 0.8283 0.9574  1 As 1.74
29 F 0.2414 0.6118 0.0530  1 As 1.73
30 F 0.2414 0.8882 0.5530  1 As 1.73
31 F 0.3724 0.6890 0.6501  1 As 1.73
32 F 0.3724 0.8110 0.1501  1 As 1.73
33 F 0.6276 0.1890 0.8499  1 As 1.73
34 F 0.6276 0.3110 0.3499  1 As 1.73
35 F 0.7586 0.1118 0.4470  1 As 1.73
36 F 0.7586 0.3882 0.9470  1 As 1.73
37 F 0.7881 0.1717 0.0426  1 As 1.74
38 F 0.7881 0.3283 0.5426  1 As 1.74
39 F 0.8877 0.2082 0.2964  1 As 1.76
40 F 0.8877 0.2918 0.7964  1 As 1.76
41 F 0.9110 0.0761 0.8914  1 As 1.77
42 F 0.9110 0.4239 0.3914  1 As 1.77
43 F 0.9576 0.7263 0.0124  1 As 1.77
44 F 0.9576 0.7737 0.5124  1 As 1.77

***

A plane-wave DFT calculation with r²SCAN was carried out for an optimized crystal structure of Hg2As3Br.

Output
DFT total energy in eV/atom: -26.222
Total magnetization in μB per formula unit: 0.00
SG: C2/c, No. 15

Cell lengths 6.2312, 6.2312, 8.2686 Å; angles 95.65, 95.65, 97.82 degrees
Closest atoms and distances in Å follow each position.
Element x y z (fractional)
1 Hg 0.0909 0.3568 0.1576  2 As 2.56-2.59
2 Hg 0.3568 0.0909 0.6576  2 As 2.56-2.59
3 Hg 0.6432 0.9091 0.3424  2 As 2.56-2.59
4 Hg 0.9091 0.6432 0.8424  2 As 2.56-2.59
5 As 0.2958 0.7042 0.7500  2 As 2.45, 2 Hg 2.59
6 As 0.3115 0.4329 0.5177  2 As 2.44-2.45, 1 Hg 2.56
7 As 0.4329 0.3115 0.0177  2 As 2.44-2.45, 1 Hg 2.56
8 As 0.5671 0.6885 0.9823  2 As 2.44-2.45, 1 Hg 2.56
9 As 0.6885 0.5671 0.4823  2 As 2.44-2.45, 1 Hg 2.56
10 As 0.7042 0.2958 0.2500  2 As 2.45, 2 Hg 2.59
11 Br 0.1350 0.8650 0.2500  4 Hg 3.15-3.27
12 Br 0.8650 0.1350 0.7500  4 Hg 3.15-3.27

***

Q: Look up the total magnetization of the second one.
A: 0.00 μB per formula unit

***

Q: Which of these has the lowest DFT total energy?
A: Bi12AsO20